Density functional theory data (r2SCAN) for a relaxed Zr5Sb3 crystal.

Output
calculated formation energy	-591	kJ/mol of formula units
calculated total energy	-24.6245	eV/atom
ΔE to the lowest computed polymorph	0.009	eV per atom

Unit cell a=8.4955 b=8.4955 c=5.7813 alpha=90.00 beta=90.00 gamma=120.00
Space group P6_3/mcm (No. 193)
Symmetry-distinct sites (fractional):
Zr: 0.0000 0.2548 0.2500 [6 per cell]
Zr: 0.3333 0.6667 0.0000 [4 per cell]
Sb: 0.0000 0.3865 0.7500 [6 per cell]